No. 1
MnTl3 | Materials Project | GGA-PBE | relaxed; total energy = -3.67 eV/atom; volume = 106.2 Å³/f.u.; formation energy from the elements = 150.6 kJ/mol of formula units
1.0
-0.395 3.193 -5.881
-5.571 -2.245 2.975
-0.519 4.761 2.619
Mn Tl
2 6
Direct
0.333 0.667 0.750 Mn
0.667 0.333 0.250 Mn
0.171 0.829 0.250 Tl
0.658 0.829 0.250 Tl
0.829 0.658 0.750 Tl
0.342 0.171 0.750 Tl
0.829 0.171 0.750 Tl
0.171 0.342 0.250 Tl

No. 2
K3NpH6O8 | Materials Project | GGA-PBE | relaxed; total energy = -5.89 eV/atom; offset from the most stable computed form = 0.37 kcal/mol of atoms; volume = 230.1 Å³/f.u.; formation energy from the elements = -3411.7 kJ/mol of formula units
1.0
-8.391 -0.503 0.991
0.423 -7.647 -0.296
1.045 -3.849 6.898
O H K Np
16 12 6 2
Direct
0.069 0.204 0.075 O
0.697 0.128 0.425 O
0.489 0.442 0.731 O
0.569 0.796 0.425 O
0.088 0.194 0.700 O
0.588 0.806 0.800 O
0.412 0.194 0.200 O
0.931 0.796 0.925 O
0.989 0.558 0.769 O
0.431 0.204 0.575 O
0.912 0.806 0.300 O
0.197 0.872 0.075 O
0.303 0.872 0.575 O
0.011 0.442 0.231 O
0.511 0.558 0.269 O
0.803 0.128 0.925 O
0.968 0.646 0.830 H
0.982 0.573 0.127 H
0.018 0.427 0.873 H
0.032 0.354 0.170 H
0.518 0.573 0.627 H
0.198 0.171 0.677 H
0.802 0.829 0.323 H
0.302 0.171 0.177 H
0.532 0.646 0.330 H
0.698 0.829 0.823 H
0.468 0.354 0.670 H
0.482 0.427 0.373 H
0.690 0.413 0.042 K
0.000 0.000 0.500 K
0.500 0.000 0.000 K
0.810 0.413 0.542 K
0.190 0.587 0.458 K
0.310 0.587 0.958 K
0.000 0.000 0.000 Np
0.500 0.000 0.500 Np

No. 3
Tm2TiGe2 | Materials Project | GGA-PBE | relaxed; total energy = -4.63 eV/atom; volume = 126.7 Å³/f.u.; formation energy from the elements = 282.8 kJ/mol of formula units
1.0
-2.300 -1.576 1.063
1.618 -0.746 2.394
-4.761 11.541 6.812
Ti Tm Ge
1 2 2
Direct
0.500 0.500 0.000 Ti
0.500 0.500 0.622 Tm
0.500 0.500 0.378 Tm
0.500 0.500 0.178 Ge
0.500 0.500 0.822 Ge

> Number 2 is which compound?

K3NpH6O8

Repeat the first record exactly.
MnTl3 | Materials Project | GGA-PBE | relaxed; total energy = -3.67 eV/atom; volume = 106.2 Å³/f.u.; formation energy from the elements = 150.6 kJ/mol of formula units
1.0
-0.395 3.193 -5.881
-5.571 -2.245 2.975
-0.519 4.761 2.619
Mn Tl
2 6
Direct
0.333 0.667 0.750 Mn
0.667 0.333 0.250 Mn
0.171 0.829 0.250 Tl
0.658 0.829 0.250 Tl
0.829 0.658 0.750 Tl
0.342 0.171 0.750 Tl
0.829 0.171 0.750 Tl
0.171 0.342 0.250 Tl

Repeat the second record exactly.
K3NpH6O8 | Materials Project | GGA-PBE | relaxed; total energy = -5.89 eV/atom; offset from the most stable computed form = 0.37 kcal/mol of atoms; volume = 230.1 Å³/f.u.; formation energy from the elements = -3411.7 kJ/mol of formula units
1.0
-8.391 -0.503 0.991
0.423 -7.647 -0.296
1.045 -3.849 6.898
O H K Np
16 12 6 2
Direct
0.069 0.204 0.075 O
0.697 0.128 0.425 O
0.489 0.442 0.731 O
0.569 0.796 0.425 O
0.088 0.194 0.700 O
0.588 0.806 0.800 O
0.412 0.194 0.200 O
0.931 0.796 0.925 O
0.989 0.558 0.769 O
0.431 0.204 0.575 O
0.912 0.806 0.300 O
0.197 0.872 0.075 O
0.303 0.872 0.575 O
0.011 0.442 0.231 O
0.511 0.558 0.269 O
0.803 0.128 0.925 O
0.968 0.646 0.830 H
0.982 0.573 0.127 H
0.018 0.427 0.873 H
0.032 0.354 0.170 H
0.518 0.573 0.627 H
0.198 0.171 0.677 H
0.802 0.829 0.323 H
0.302 0.171 0.177 H
0.532 0.646 0.330 H
0.698 0.829 0.823 H
0.468 0.354 0.670 H
0.482 0.427 0.373 H
0.690 0.413 0.042 K
0.000 0.000 0.500 K
0.500 0.000 0.000 K
0.810 0.413 0.542 K
0.190 0.587 0.458 K
0.310 0.587 0.958 K
0.000 0.000 0.000 Np
0.500 0.000 0.500 Np